# 1
## Na8Sc3TaSi5SO24 (GGA-PBE)

Data for a relaxed structure of Na8Sc3TaSi5SO24.

Lattice parameters (Å, degrees): 9.204 9.205 22.367 90.07 90.03 119.94
Fractional coordinates of all 126 atoms:
1 Na 0.000 0.000 0.000
2 Na 0.001 0.367 0.497
3 Na 0.032 0.337 0.831
4 Na 0.044 0.069 0.344
5 Na 0.045 0.708 0.577
6 Na 0.046 0.707 0.080
7 Na 0.063 0.030 0.656
8 Na 0.074 0.414 0.164
9 Na 0.341 0.025 0.159
10 Na 0.349 0.689 0.656
11 Na 0.378 0.384 0.249
12 Na 0.379 0.998 0.502
13 Na 0.385 0.752 0.001
14 Na 0.391 0.374 0.741
15 Na 0.403 0.687 0.333
16 Na 0.426 0.086 0.827
17 Na 0.677 0.694 0.822
18 Na 0.691 0.361 0.340
19 Na 0.712 0.051 0.918
20 Na 0.715 0.039 0.423
21 Na 0.716 0.400 0.661
22 Na 0.723 0.680 0.165
23 Na 0.745 0.362 0.996
24 Na 0.748 0.752 0.497
25 Sc 0.027 0.694 0.435
26 Sc 0.030 0.695 0.722
27 Sc 0.032 0.689 0.938
28 Sc 0.034 0.693 0.226
29 Sc 0.377 0.380 0.396
30 Sc 0.386 0.373 0.897
31 Sc 0.709 0.040 0.562
32 Sc 0.711 0.039 0.059
33 Sc 0.712 0.050 0.757
34 Ta 0.376 0.373 0.596
35 Ta 0.378 0.373 0.098
36 Ta 0.720 0.040 0.261
37 Si 0.010 0.335 0.662
38 Si 0.011 0.041 0.158
39 Si 0.040 0.406 0.327
40 Si 0.083 0.077 0.493
41 Si 0.086 0.371 0.993
42 Si 0.375 0.076 0.994
43 Si 0.376 0.670 0.493
44 Si 0.411 0.041 0.662
45 Si 0.417 0.744 0.159
46 Si 0.667 0.369 0.493
47 Si 0.670 0.667 0.994
48 Si 0.706 0.329 0.160
49 Si 0.706 0.743 0.663
50 Si 0.745 0.404 0.829
51 Si 0.748 0.709 0.327
52 S 0.042 0.998 0.830
53 S 0.338 0.707 0.829
54 S 0.344 0.997 0.327
55 O 0.005 0.492 0.386
56 O 0.035 0.903 0.884
57 O 0.045 0.527 0.668
58 O 0.045 0.887 0.168
59 O 0.057 0.914 0.776
60 O 0.066 0.518 0.268
61 O 0.077 0.897 0.493
62 O 0.081 0.546 0.995
63 O 0.173 0.187 0.433
64 O 0.173 0.350 0.933
65 O 0.190 0.171 0.830
66 O 0.190 0.220 0.157
67 O 0.198 0.352 0.655
68 O 0.199 0.373 0.330
69 O 0.202 0.896 0.993
70 O 0.203 0.678 0.493
71 O 0.204 0.185 0.551
72 O 0.209 0.389 0.052
73 O 0.222 0.883 0.670
74 O 0.230 0.718 0.167
75 O 0.242 0.701 0.776
76 O 0.246 0.914 0.272
77 O 0.255 0.721 0.884
78 O 0.264 0.899 0.381
79 O 0.350 0.551 0.829
80 O 0.359 0.182 0.054
81 O 0.360 0.547 0.552
82 O 0.366 0.168 0.329
83 O 0.397 0.214 0.654
84 O 0.399 0.583 0.433
85 O 0.400 0.189 0.935
86 O 0.408 0.559 0.157
87 O 0.495 0.004 0.604
88 O 0.501 0.856 0.101
89 O 0.510 0.856 0.828
90 O 0.515 0.013 0.323
91 O 0.531 0.341 0.158
92 O 0.532 0.080 0.721
93 O 0.537 0.554 0.655
94 O 0.542 0.058 0.999
95 O 0.542 0.853 0.499
96 O 0.543 0.846 0.218
97 O 0.556 0.387 0.829
98 O 0.560 0.349 0.432
99 O 0.560 0.580 0.935
100 O 0.561 0.542 0.329
101 O 0.562 0.386 0.551
102 O 0.566 0.543 0.053
103 O 0.673 0.824 0.723
104 O 0.681 0.205 0.218
105 O 0.689 0.206 0.499
106 O 0.691 0.852 0.998
107 O 0.724 0.879 0.320
108 O 0.728 0.216 0.827
109 O 0.737 0.247 0.101
110 O 0.738 0.861 0.605
111 O 0.841 0.520 0.771
112 O 0.842 0.694 0.268
113 O 0.847 0.544 0.494
114 O 0.852 0.676 0.995
115 O 0.858 0.498 0.889
116 O 0.863 0.217 0.320
117 O 0.866 0.518 0.166
118 O 0.866 0.747 0.386
119 O 0.868 0.715 0.667
120 O 0.885 0.008 0.828
121 O 0.889 0.251 0.605
122 O 0.894 0.007 0.101
123 O 0.899 0.059 0.499
124 O 0.901 0.208 0.998
125 O 0.906 0.065 0.217
126 O 0.930 0.219 0.722

Properties
E (MP2020)   -7.53 eV per atom
Space group   No. 1
Total DFT energy (no corrections)   -899.19 eV per cell
Energy relative to the elements   -2.97 eV/atom
Calculated volume   1642.14 Å³/cell


# 2
## Ho2MgCuSi4O12 (GGA-PBE)

Data for a relaxed structure of Ho2MgCuSi4O12.

Lattice parameters (Å, degrees): 5.254 7.298 7.913 62.64 84.76 78.50
Fractional coordinates of all 20 atoms:
1 Ho 0.003 0.292 0.414
2 Ho 0.997 0.708 0.586
3 Mg 0.500 0.500 0.000
4 Cu 0.000 0.500 0.000
5 Si 0.407 0.922 0.773
6 Si 0.413 0.693 0.229
7 Si 0.587 0.307 0.771
8 Si 0.593 0.078 0.227
9 O 0.167 0.959 0.639
10 O 0.175 0.595 0.365
11 O 0.314 0.818 0.002
12 O 0.341 0.484 0.772
13 O 0.346 0.254 0.229
14 O 0.494 0.148 0.705
15 O 0.506 0.852 0.295
16 O 0.654 0.746 0.771
17 O 0.659 0.516 0.228
18 O 0.686 0.182 0.998
19 O 0.825 0.405 0.635
20 O 0.833 0.041 0.361

Properties
E (MP2020)   -7.87 eV per atom
Space group   No. 2
Total DFT energy (no corrections)   -149.25 eV per cell
Energy relative to the elements   -3.08 eV/atom
Calculated volume   264.06 Å³/cell


# 3
## B2IrCl (GGA-PBE)

Data for a relaxed structure of B2IrCl.

Lattice parameters (Å, degrees): 4.031 4.031 4.031 60.00 60.00 60.00
Fractional coordinates of all 4 atoms:
1 B 0.250 0.250 0.250
2 B 0.750 0.750 0.750
3 Ir 0.000 0.000 0.000
4 Cl 0.500 0.500 0.500

Properties
E (MP2020)   -4.24 eV per atom
Space group   No. 225
Total DFT energy (no corrections)   -16.36 eV per cell
Energy relative to the elements   1.77 eV/atom
Calculated volume   46.31 Å³/cell


# 4
## Ba4SrSn5O15 (GGA-PBE)

Data for a relaxed structure of Ba4SrSn5O15.

Lattice parameters (Å, degrees): 12.525 12.525 12.525 27.27 27.27 27.27
Fractional coordinates of all 25 atoms:
1 Ba 0.100 0.100 0.100
2 Ba 0.300 0.300 0.300
3 Ba 0.700 0.700 0.700
4 Ba 0.900 0.900 0.900
5 Sr 0.500 0.500 0.500
6 Sn 0.000 0.000 0.000
7 Sn 0.200 0.200 0.200
8 Sn 0.400 0.400 0.400
9 Sn 0.600 0.600 0.600
10 Sn 0.800 0.800 0.800
11 O 0.000 0.000 0.500
12 O 0.000 0.500 0.000
13 O 0.102 0.600 0.600
14 O 0.200 0.200 0.700
15 O 0.200 0.700 0.200
16 O 0.300 0.800 0.800
17 O 0.400 0.400 0.898
18 O 0.400 0.898 0.400
19 O 0.500 0.000 0.000
20 O 0.600 0.102 0.600
21 O 0.600 0.600 0.102
22 O 0.700 0.200 0.200
23 O 0.800 0.300 0.800
24 O 0.800 0.800 0.300
25 O 0.898 0.400 0.400

Properties
E (MP2020)   -6.73 eV per atom
Space group   No. 166
Total DFT energy (no corrections)   -157.98 eV per cell
Energy relative to the elements   -2.59 eV/atom
Calculated volume   364.02 Å³/cell


# 5
## Li2Hf2O5 (GGA-PBE)

Data for a relaxed structure of Li2Hf2O5.

Lattice parameters (Å, degrees): 5.601 5.601 7.585 109.62 109.62 70.84
Fractional coordinates of all 18 atoms:
1 Li 0.183 0.788 0.541
2 Li 0.212 0.817 0.959
3 Li 0.788 0.183 0.041
4 Li 0.817 0.212 0.459
5 Hf 0.223 0.280 0.882
6 Hf 0.280 0.223 0.382
7 Hf 0.720 0.777 0.618
8 Hf 0.777 0.720 0.118
9 O 0.000 0.500 0.500
10 O 0.027 0.973 0.250
11 O 0.078 0.368 0.131
12 O 0.368 0.078 0.631
13 O 0.500 0.000 0.000
14 O 0.500 0.500 0.000
15 O 0.500 0.500 0.500
16 O 0.632 0.922 0.369
17 O 0.922 0.632 0.869
18 O 0.973 0.027 0.750

Properties
E (MP2020)   -8.76 eV per atom
Space group   No. 15
Total DFT energy (no corrections)   -150.79 eV per cell
Energy relative to the elements   -3.37 eV/atom
Calculated volume   204.76 Å³/cell


# 6
## ZrNi2 (GGA-PBE)

Data for a relaxed structure of ZrNi2.

Lattice parameters (Å, degrees): 4.927 4.927 4.927 60.00 60.00 60.00
Fractional coordinates of all 6 atoms:
1 Zr 0.125 0.125 0.125
2 Zr 0.875 0.875 0.875
3 Ni 0.000 0.500 0.500
4 Ni 0.500 0.000 0.500
5 Ni 0.500 0.500 0.000
6 Ni 0.500 0.500 0.500

Properties
Space group   No. 227
Total DFT energy (no corrections)   -42.69 eV per cell
Energy relative to the elements   -0.41 eV/atom
Calculated volume   84.59 Å³/cell


# 7
## ThP2O7 (GGA-PBE)

Data for a relaxed structure of ThP2O7.

Lattice parameters (Å, degrees): 9.027 9.027 9.027 90.00 90.00 90.00
Fractional coordinates of all 40 atoms:
1 Th 0.000 0.000 0.000
2 Th 0.000 0.500 0.500
3 Th 0.500 0.000 0.500
4 Th 0.500 0.500 0.000
5 P 0.101 0.601 0.899
6 P 0.101 0.899 0.399
7 P 0.399 0.101 0.899
8 P 0.399 0.399 0.399
9 P 0.601 0.601 0.601
10 P 0.601 0.899 0.101
11 P 0.899 0.101 0.601
12 P 0.899 0.399 0.101
13 O 0.000 0.000 0.500
14 O 0.000 0.500 0.000
15 O 0.056 0.738 0.429
16 O 0.056 0.762 0.929
17 O 0.071 0.556 0.738
18 O 0.071 0.944 0.238
19 O 0.238 0.071 0.944
20 O 0.238 0.429 0.444
21 O 0.262 0.571 0.944
22 O 0.262 0.929 0.444
23 O 0.429 0.056 0.738
24 O 0.429 0.444 0.238
25 O 0.444 0.238 0.429
26 O 0.444 0.262 0.929
27 O 0.500 0.000 0.000
28 O 0.500 0.500 0.500
29 O 0.556 0.738 0.071
30 O 0.556 0.762 0.571
31 O 0.571 0.556 0.762
32 O 0.571 0.944 0.262
33 O 0.738 0.071 0.556
34 O 0.738 0.429 0.056
35 O 0.762 0.571 0.556
36 O 0.762 0.929 0.056
37 O 0.929 0.056 0.762
38 O 0.929 0.444 0.262
39 O 0.944 0.238 0.071
40 O 0.944 0.262 0.571

Properties
E (MP2020)   -8.57 eV per atom
Space group   No. 205
Total DFT energy (no corrections)   -323.42 eV per cell
Energy relative to the elements   -3.28 eV/atom
Calculated volume   735.53 Å³/cell


# 8
## Ba9Rh8O27 (GGA-PBE)

Data for a relaxed structure of Ba9Rh8O27.

Lattice parameters (Å, degrees): 10.125 10.126 15.226 77.48 83.46 60.28
Fractional coordinates of all 88 atoms:
1 Ba 0.000 0.000 0.000
2 Ba 0.002 0.778 0.671
3 Ba 0.014 0.273 0.156
4 Ba 0.018 0.488 0.500
5 Ba 0.047 0.843 0.343
6 Ba 0.301 0.733 0.842
7 Ba 0.329 0.121 0.658
8 Ba 0.332 0.340 0.998
9 Ba 0.346 0.595 0.172
10 Ba 0.349 0.817 0.502
11 Ba 0.357 0.218 0.341
12 Ba 0.663 0.455 0.659
13 Ba 0.668 0.671 0.002
14 Ba 0.670 0.533 0.340
15 Ba 0.673 0.052 0.836
16 Ba 0.680 0.155 0.508
17 Ba 0.681 0.935 0.162
18 Ba 0.990 0.423 0.840
19 Rh 0.005 0.642 0.070
20 Rh 0.007 0.139 0.580
21 Rh 0.019 0.559 0.256
22 Rh 0.027 0.177 0.400
23 Rh 0.321 0.049 0.901
24 Rh 0.329 0.423 0.755
25 Rh 0.340 0.971 0.080
26 Rh 0.346 0.468 0.568
27 Rh 0.358 0.898 0.257
28 Rh 0.646 0.763 0.758
29 Rh 0.654 0.383 0.902
30 Rh 0.673 0.802 0.581
31 Rh 0.674 0.301 0.081
32 Rh 0.694 0.842 0.402
33 Rh 0.705 0.213 0.258
34 Rh 0.988 0.105 0.757
35 O 0.002 0.505 0.002
36 O 0.009 0.747 0.174
37 O 0.016 0.005 0.494
38 O 0.040 0.351 0.316
39 O 0.124 0.105 0.842
40 O 0.149 0.968 0.678
41 O 0.161 0.455 0.158
42 O 0.161 0.571 0.817
43 O 0.165 0.669 0.008
44 O 0.166 0.162 0.494
45 O 0.182 0.158 0.000
46 O 0.184 0.532 0.322
47 O 0.185 0.649 0.505
48 O 0.189 0.444 0.664
49 O 0.197 0.933 0.175
50 O 0.222 0.017 0.349
51 O 0.314 0.246 0.835
52 O 0.329 0.862 0.985
53 O 0.338 0.594 0.663
54 O 0.348 0.322 0.507
55 O 0.350 0.090 0.168
56 O 0.364 0.713 0.326
57 O 0.461 0.930 0.810
58 O 0.477 0.413 0.836
59 O 0.484 0.008 0.985
60 O 0.489 0.292 0.668
61 O 0.500 0.782 0.159
62 O 0.507 0.785 0.659
63 O 0.512 0.488 0.003
64 O 0.513 0.485 0.508
65 O 0.535 0.978 0.482
66 O 0.536 0.258 0.177
67 O 0.547 0.857 0.317
68 O 0.565 0.325 0.344
69 O 0.618 0.598 0.842
70 O 0.665 0.934 0.666
71 O 0.666 0.192 0.985
72 O 0.680 0.672 0.494
73 O 0.688 0.408 0.176
74 O 0.728 0.006 0.318
75 O 0.790 0.746 0.837
76 O 0.802 0.270 0.811
77 O 0.811 0.628 0.680
78 O 0.814 0.346 0.985
79 O 0.836 0.820 0.495
80 O 0.839 0.829 0.013
81 O 0.841 0.112 0.152
82 O 0.847 0.117 0.665
83 O 0.860 0.599 0.166
84 O 0.865 0.309 0.481
85 O 0.866 0.670 0.346
86 O 0.895 0.168 0.315
87 O 0.980 0.933 0.835
88 O 0.999 0.278 0.658

Properties
E (MP2020)   -6.77 eV per atom
Space group   No. 1
Total DFT energy (no corrections)   -558.33 eV per cell
Energy relative to the elements   -2.00 eV/atom
Calculated volume   1323.39 Å³/cell